Li4Mn3CoO8 | PBE+U | optimized geometry

Summary:
As for the distance to the lowest polymorph of the same formula: 10.6 meV/atom. The value obtained for the calculated density is 4.12 g/cm³. The total moment is 12.00 μB/cell. The final energy is -0.2342 hartree per atom. For the energy of formation from the pure elements, the calculation gives -2.017 eV/atom. The corrected total energy (MP2020 scheme) is -7.13 eV per atom.

Lattice parameters (Å, degrees): 2.8829 5.3826 9.8985 85.04 90.00 90.00
Fractional positions:
Li (0.0000, 0.2468, 0.2489)
Li (0.5000, 0.0000, 0.5000)
Li (0.5000, 0.5000, 0.0000)
Li (0.0000, 0.7532, 0.7511)
Co (0.0000, 0.0000, 0.0000)
O (0.5000, 0.6139, 0.6145)
O (0.5000, 0.3861, 0.3855)
O (0.0000, 0.6589, 0.1288)
O (0.5000, 0.8702, 0.8865)
O (0.0000, 0.8745, 0.3619)
O (0.0000, 0.1255, 0.6381)
O (0.5000, 0.1298, 0.1135)
O (0.0000, 0.3411, 0.8712)
Mn (0.0000, 0.5000, 0.5000)
Mn (0.5000, 0.2349, 0.7537)
Mn (0.5000, 0.7651, 0.2463)

Li4Mn3CoO8 | PBE+U | optimized geometry

Summary:
As for the distance to the lowest polymorph of the same formula: 2.7 meV/atom. The value obtained for the calculated density is 4.15 g/cm³. The total moment is 2.00 μB/cell. The final energy is -0.2345 hartree per atom. For the energy of formation from the pure elements, the calculation gives -2.025 eV/atom. The corrected total energy (MP2020 scheme) is -7.14 eV per atom.

Lattice parameters (Å, degrees): 5.4051 5.6989 5.4556 89.98 64.78 89.99
Fractional positions:
O (0.7697, 0.7536, 0.2237)
O (0.2303, 0.7535, 0.7762)
O (0.2278, 0.0000, 0.2680)
O (0.7722, 0.0000, 0.7320)
O (0.2303, 0.2464, 0.7763)
O (0.7655, 0.5000, 0.7249)
O (0.7697, 0.2464, 0.2238)
O (0.2345, 0.5000, 0.2751)
Mn (0.0000, 0.2492, 0.5000)
Mn (0.0000, 0.5000, 0.0000)
Mn (0.0000, 0.7508, 0.5000)
Li (0.5000, 0.2469, 0.0000)
Li (0.5000, 0.7531, 0.0000)
Li (0.5000, 0.5000, 0.5000)
Li (0.5000, 0.0000, 0.5000)
Co (0.0000, 0.0000, 0.0000)

Li7Mn2Co3O12 | PBE+U | optimized geometry

Summary:
As for the distance to the lowest polymorph of the same formula: 32.5 meV/atom. The value obtained for the calculated density is 4.11 g/cm³. The total moment is 8.00 μB/cell. The final energy is -0.2167 hartree per atom. For the energy of formation from the pure elements, the calculation gives -1.901 eV/atom. The corrected total energy (MP2020 scheme) is -6.58 eV per atom.

Lattice parameters (Å, degrees): 5.0821 5.8740 7.7113 102.16 96.40 105.70
Fractional positions:
O (0.7646, 0.5473, 0.4305)
O (0.2211, 0.2868, 0.9305)
O (0.7831, 0.4026, 0.7585)
O (0.7863, 0.7200, 0.0739)
O (0.2236, 0.4629, 0.5747)
O (0.7616, 0.0300, 0.4076)
O (0.2352, 0.8080, 0.9043)
O (0.2114, 0.6164, 0.2377)
O (0.2310, 0.1143, 0.2408)
O (0.7688, 0.1943, 0.0896)
O (0.7792, 0.8737, 0.7602)
O (0.2325, 0.9333, 0.5827)
Mn (0.0015, 0.6705, 0.6673)
Mn (0.0031, 0.0055, 0.9977)
Co (0.9990, 0.4994, 0.9966)
Co (0.0007, 0.3289, 0.3396)
Co (0.9961, 0.8417, 0.3415)
Li (0.4996, 0.9166, 0.1680)
Li (0.9991, 0.1652, 0.6671)
Li (0.5012, 0.5823, 0.8298)
Li (0.5006, 0.0880, 0.8268)
Li (0.5042, 0.2434, 0.5037)
Li (0.5014, 0.7544, 0.5008)
Li (0.4949, 0.4143, 0.1700)

Li2MnCoO4 | PBE+U | optimized geometry

Summary:
As for the distance to the lowest polymorph of the same formula: 51.3 meV/atom. The value obtained for the calculated density is 4.24 g/cm³. The total moment is 10.00 μB/cell. The final energy is -0.2246 hartree per atom. For the energy of formation from the pure elements, the calculation gives -1.884 eV/atom. The corrected total energy (MP2020 scheme) is -6.87 eV per atom.

Lattice parameters (Å, degrees): 2.9938 3.0629 19.7506 96.84 82.05 123.05
Fractional positions:
Co (0.2514, 0.7550, 0.2489)
Co (0.0005, 0.0003, 0.0016)
Li (0.8733, 0.1312, 0.3725)
Li (0.3724, 0.6155, 0.8777)
Li (0.1246, 0.8730, 0.6246)
Li (0.6325, 0.3789, 0.1255)
O (0.9220, 0.0509, 0.1922)
O (0.1695, 0.8491, 0.4398)
O (0.8279, 0.1523, 0.5568)
O (0.0778, 0.8960, 0.8097)
O (0.5806, 0.4608, 0.3056)
O (0.3297, 0.7068, 0.0581)
O (0.6693, 0.2929, 0.9448)
O (0.4206, 0.5928, 0.6926)
Mn (0.4985, 0.4998, 0.4983)
Mn (0.7493, 0.2447, 0.7512)

Li2Mn3CoO8 | PBE+U | optimized geometry

Summary:
As for the distance to the lowest polymorph of the same formula: 37.8 meV/atom. The value obtained for the calculated density is 4.26 g/cm³. The total moment is 24.01 μB/cell. The final energy is -0.2433 hartree per atom. For the energy of formation from the pure elements, the calculation gives -1.915 eV/atom. The corrected total energy (MP2020 scheme) is -7.49 eV per atom.

Lattice parameters (Å, degrees): 5.8373 5.8373 9.6496 90.00 90.00 120.00
Fractional positions:
O (0.8411, 0.6822, 0.1064)
O (0.0352, 0.5176, 0.3302)
O (0.1589, 0.8411, 0.6064)
O (0.8411, 0.1589, 0.1064)
O (0.5176, 0.0352, 0.8302)
O (0.1589, 0.3178, 0.6064)
O (0.3178, 0.1589, 0.1064)
O (0.4824, 0.9648, 0.3302)
O (0.3333, 0.6667, 0.1090)
O (0.6822, 0.8411, 0.6064)
O (0.4824, 0.5176, 0.3302)
O (0.0000, 0.0000, 0.8115)
O (0.6667, 0.3333, 0.6090)
O (0.9648, 0.4824, 0.8302)
O (0.5176, 0.4824, 0.8302)
O (0.0000, 0.0000, 0.3115)
Co (0.3333, 0.6667, 0.4935)
Co (0.6667, 0.3333, 0.9935)
Mn (0.1688, 0.3376, 0.2152)
Mn (0.3376, 0.1688, 0.7152)
Mn (0.1688, 0.8312, 0.2152)
Mn (0.8312, 0.6624, 0.7152)
Mn (0.6624, 0.8312, 0.2152)
Mn (0.8312, 0.1688, 0.7152)
Li (0.0000, 0.0000, 0.4981)
Li (0.0000, 0.0000, 0.9981)
Li (0.6667, 0.3333, 0.3862)
Li (0.3333, 0.6667, 0.8862)

Li5Mn2CoO8 | PBE+U | optimized geometry

Summary:
As for the distance to the lowest polymorph of the same formula: 51.0 meV/atom. The value obtained for the calculated density is 3.85 g/cm³. The total moment is 10.00 μB/cell. The final energy is -0.2201 hartree per atom. For the energy of formation from the pure elements, the calculation gives -1.983 eV/atom. The corrected total energy (MP2020 scheme) is -6.64 eV per atom.

Lattice parameters (Å, degrees): 2.9027 5.9488 8.2726 89.50 90.00 90.00
Fractional positions:
O (0.0000, 0.0255, 0.7615)
O (0.0000, 0.4686, 0.7566)
O (0.5000, 0.7831, 0.9946)
O (0.5000, 0.7550, 0.4909)
O (0.5000, 0.2217, 0.9903)
O (0.5000, 0.2476, 0.5226)
O (0.0000, 0.5123, 0.2427)
O (0.0000, 0.9904, 0.2295)
Mn (0.0000, 0.9989, 0.0037)
Mn (0.5000, 0.2543, 0.7398)
Co (0.5000, 0.7348, 0.2760)
Li (0.0000, 0.5019, 0.0080)
Li (0.0000, 0.0020, 0.4939)
Li (0.5000, 0.2648, 0.2669)
Li (0.0000, 0.4970, 0.4946)
Li (0.5000, 0.7420, 0.7282)

> Which of these has the highest total moment?

Li2Mn3CoO8

> What is the formula in the sixth record?

Li5Mn2CoO8